Below is an optimized crystal structure of Li6EuB3O9, with properties calculated at the GGA-PBE level.

Results
- Symmetry: P2_1/c
- ΔE_f: -2710.6 meV per atom
- Calculated volume: 10.5 A^3/atom

a = 7.3428 Å, b = 16.6101 Å, c = 6.7814 Å
α = 90.00°, β = 105.40°, γ = 90.00°
Element x y z (fractional)
Li 0.0432 0.0310 0.1679
Li 0.0432 0.4690 0.6679
Li 0.0628 0.7037 0.0453
Li 0.0628 0.7963 0.5453
Li 0.1940 0.5355 0.0529
Li 0.1940 0.9645 0.5529
Li 0.2111 0.2061 0.8673
Li 0.2111 0.2939 0.3673
Li 0.3611 0.0546 0.9117
Li 0.3611 0.4454 0.4117
Li 0.4256 0.0029 0.3227
Li 0.4256 0.4971 0.8227
Li 0.5744 0.5029 0.1773
Li 0.5744 0.9971 0.6773
Li 0.6389 0.5546 0.5883
Li 0.6389 0.9454 0.0883
Li 0.7889 0.7061 0.6327
Li 0.7889 0.7939 0.1327
Li 0.8060 0.0355 0.4471
Li 0.8060 0.4645 0.9471
Li 0.9372 0.2037 0.4547
Li 0.9372 0.2963 0.9547
Li 0.9568 0.5310 0.3321
Li 0.9568 0.9690 0.8321
Eu 0.4236 0.6915 0.8465
Eu 0.4236 0.8085 0.3465
Eu 0.5764 0.1915 0.6535
Eu 0.5764 0.3085 0.1535
B 0.0595 0.6146 0.6874
B 0.0595 0.8854 0.1874
B 0.2092 0.1182 0.4993
B 0.2092 0.3818 0.9993
B 0.4190 0.6338 0.3379
B 0.4190 0.8662 0.8379
B 0.5810 0.1338 0.1621
B 0.5810 0.3662 0.6621
B 0.7908 0.6182 0.0007
B 0.7908 0.8818 0.5007
B 0.9405 0.1146 0.8126
B 0.9405 0.3854 0.3126
O 0.0351 0.0860 0.4142
O 0.0351 0.4140 0.9142
O 0.0756 0.6971 0.7256
O 0.0756 0.8029 0.2256
O 0.1053 0.0790 0.9250
O 0.1053 0.4210 0.4250
O 0.2185 0.5674 0.7674
O 0.2185 0.9326 0.2674
O 0.2319 0.1995 0.5539
O 0.2319 0.3005 0.0539
O 0.3441 0.6825 0.1687
O 0.3441 0.8175 0.6687
O 0.3730 0.0716 0.5393
O 0.3730 0.4284 0.0393
O 0.4142 0.5520 0.3244
O 0.4142 0.9480 0.8244
O 0.4927 0.1717 0.9771
O 0.4927 0.3283 0.4771
O 0.5073 0.6717 0.5229
O 0.5073 0.8283 0.0229
O 0.5858 0.0520 0.1756
O 0.5858 0.4480 0.6756
O 0.6270 0.5716 0.9607
O 0.6270 0.9284 0.4607
O 0.6559 0.1825 0.3313
O 0.6559 0.3175 0.8313
O 0.7681 0.6995 0.9461
O 0.7681 0.8005 0.4461
O 0.7815 0.0674 0.7326
O 0.7815 0.4326 0.2326
O 0.8947 0.5790 0.5750
O 0.8947 0.9210 0.0750
O 0.9244 0.1971 0.7744
O 0.9244 0.3029 0.2744
O 0.9649 0.5860 0.0858
O 0.9649 0.9140 0.5858

Below is an optimized crystal structure of LiEu6B3O14, with properties calculated at the GGA-PBE level.

Results
- Symmetry: P2_1/c
- ΔE_f: -3079.5 meV per atom
- Calculated volume: 13.4 A^3/atom

a = 8.6880 Å, b = 16.0673 Å, c = 12.3605 Å
α = 90.00°, β = 131.96°, γ = 90.00°
Element x y z (fractional)
Li 0.1192 0.1039 0.4396
Li 0.1192 0.3961 0.9396
Li 0.8808 0.6039 0.0604
Li 0.8808 0.8961 0.5604
Eu 0.0089 0.6756 0.5499
Eu 0.0089 0.8244 0.0499
Eu 0.1538 0.6445 0.9234
Eu 0.1538 0.8555 0.4234
Eu 0.2344 0.5045 0.4352
Eu 0.2344 0.9955 0.9352
Eu 0.3380 0.0134 0.2850
Eu 0.3380 0.4866 0.7850
Eu 0.4091 0.6653 0.3315
Eu 0.4091 0.8347 0.8315
Eu 0.4453 0.1775 0.8039
Eu 0.4453 0.3225 0.3039
Eu 0.5547 0.6775 0.6961
Eu 0.5547 0.8225 0.1961
Eu 0.5909 0.1653 0.1685
Eu 0.5909 0.3347 0.6685
Eu 0.6620 0.5134 0.2150
Eu 0.6620 0.9866 0.7150
Eu 0.7656 0.0045 0.0648
Eu 0.7656 0.4955 0.5648
Eu 0.8462 0.1445 0.5766
Eu 0.8462 0.3555 0.0766
Eu 0.9911 0.1756 0.9501
Eu 0.9911 0.3244 0.4501
B 0.0412 0.1932 0.2210
B 0.0412 0.3068 0.7210
B 0.2085 0.0007 0.6447
B 0.2085 0.4993 0.1447
B 0.4568 0.1732 0.5270
B 0.4568 0.3268 0.0270
B 0.5432 0.6732 0.9730
B 0.5432 0.8268 0.4730
B 0.7915 0.5007 0.8553
B 0.7915 0.9993 0.3553
B 0.9588 0.6932 0.2790
B 0.9588 0.8068 0.7790
O 0.0512 0.7239 0.2301
O 0.0512 0.7761 0.7301
O 0.0516 0.1094 0.2014
O 0.0516 0.3906 0.7014
O 0.0632 0.5790 0.7190
O 0.0632 0.9210 0.2190
O 0.1148 0.2497 0.1779
O 0.1148 0.2503 0.6779
O 0.1491 0.0832 0.6179
O 0.1491 0.4168 0.1179
O 0.1751 0.5498 0.2179
O 0.1751 0.9502 0.7179
O 0.2765 0.7317 0.1232
O 0.2765 0.7683 0.6232
O 0.2879 0.5858 0.6245
O 0.2879 0.9142 0.1245
O 0.2957 0.0979 0.1025
O 0.2957 0.4021 0.6025
O 0.3022 0.5325 0.0973
O 0.3022 0.9675 0.5973
O 0.3611 0.2034 0.5742
O 0.3611 0.2966 0.0742
O 0.4494 0.7309 0.9967
O 0.4494 0.7691 0.4967
O 0.4741 0.0900 0.5099
O 0.4741 0.4100 0.0099
O 0.4763 0.0892 0.9673
O 0.4763 0.4108 0.4673
O 0.5237 0.5892 0.5327
O 0.5237 0.9108 0.0327
O 0.5259 0.5900 0.9901
O 0.5259 0.9100 0.4901
O 0.5506 0.2309 0.5033
O 0.5506 0.2691 0.0033
O 0.6389 0.7034 0.9258
O 0.6389 0.7966 0.4258
O 0.6978 0.0325 0.4027
O 0.6978 0.4675 0.9027
O 0.7043 0.5979 0.3975
O 0.7043 0.9021 0.8975
O 0.7121 0.0858 0.8755
O 0.7121 0.4142 0.3755
O 0.7235 0.2317 0.3768
O 0.7235 0.2683 0.8768
O 0.8249 0.0498 0.2821
O 0.8249 0.4502 0.7821
O 0.8509 0.5832 0.8821
O 0.8509 0.9168 0.3821
O 0.8852 0.7497 0.3221
O 0.8852 0.7503 0.8221
O 0.9368 0.0790 0.7810
O 0.9368 0.4210 0.2810
O 0.9484 0.6094 0.2986
O 0.9484 0.8906 0.7986
O 0.9488 0.2239 0.2699
O 0.9488 0.2761 0.7699

Below is an optimized crystal structure of Na3Eu9B8O27, with properties calculated at the GGA-PBE level.

Results
- Symmetry: P-62m
- ΔE_f: -2994.4 meV per atom
- Calculated volume: 12.1 A^3/atom

a = 8.8093 Å, b = 8.8093 Å, c = 8.4721 Å
α = 90.00°, β = 90.00°, γ = 120.00°
Element x y z (fractional)
Na 0.0000 0.3354 0.0000
Na 0.3354 0.0000 0.0000
Na 0.6646 0.6646 0.0000
Eu 0.0000 0.2813 0.5000
Eu 0.0000 0.6514 0.2370
Eu 0.0000 0.6514 0.7630
Eu 0.2813 0.0000 0.5000
Eu 0.3486 0.3486 0.2370
Eu 0.3486 0.3486 0.7630
Eu 0.6514 0.0000 0.2370
Eu 0.6514 0.0000 0.7630
Eu 0.7187 0.7187 0.5000
B 0.0000 0.0000 0.2098
B 0.0000 0.0000 0.7902
B 0.3333 0.6667 0.0000
B 0.3333 0.6667 0.3252
B 0.3333 0.6667 0.6748
B 0.6667 0.3333 0.0000
B 0.6667 0.3333 0.3252
B 0.6667 0.3333 0.6748
O 0.0000 0.1567 0.2121
O 0.0000 0.1567 0.7879
O 0.0000 0.7459 0.5000
O 0.1567 0.0000 0.2121
O 0.1567 0.0000 0.7879
O 0.1774 0.5113 0.3190
O 0.1774 0.5113 0.6810
O 0.1812 0.6778 0.0000
O 0.2541 0.2541 0.5000
O 0.3222 0.5034 0.0000
O 0.3339 0.8226 0.3190
O 0.3339 0.8226 0.6810
O 0.4887 0.6661 0.3190
O 0.4887 0.6661 0.6810
O 0.4966 0.8188 0.0000
O 0.5034 0.3222 0.0000
O 0.5113 0.1774 0.3190
O 0.5113 0.1774 0.6810
O 0.6661 0.4887 0.3190
O 0.6661 0.4887 0.6810
O 0.6778 0.1812 0.0000
O 0.7459 0.0000 0.5000
O 0.8188 0.4966 0.0000
O 0.8226 0.3339 0.3190
O 0.8226 0.3339 0.6810
O 0.8433 0.8433 0.2121
O 0.8433 0.8433 0.7879

Below is an optimized crystal structure of Na2Eu2B2O7, with properties calculated at the GGA-PBE level.

Results
- Symmetry: P2_1/c
- ΔE_f: -2850.5 meV per atom
- Calculated volume: 12.7 A^3/atom

a = 10.9097 Å, b = 6.4635 Å, c = 10.5315 Å
α = 90.00°, β = 117.63°, γ = 90.00°
Element x y z (fractional)
Na 0.0227 0.0574 0.2623
Na 0.0227 0.4426 0.7623
Na 0.1103 0.7373 0.0469
Na 0.1103 0.7627 0.5469
Na 0.8897 0.2373 0.4531
Na 0.8897 0.2627 0.9531
Na 0.9773 0.5574 0.2377
Na 0.9773 0.9426 0.7377
Eu 0.3145 0.0834 0.9098
Eu 0.3145 0.4166 0.4098
Eu 0.4829 0.5423 0.1816
Eu 0.4829 0.9577 0.6816
Eu 0.5171 0.0423 0.3184
Eu 0.5171 0.4577 0.8184
Eu 0.6855 0.5834 0.5902
Eu 0.6855 0.9166 0.0902
B 0.1828 0.2490 0.5805
B 0.1828 0.2510 0.0805
B 0.2906 0.6528 0.8501
B 0.2906 0.8472 0.3501
B 0.7094 0.1528 0.6499
B 0.7094 0.3472 0.1499
B 0.8172 0.7490 0.9195
B 0.8172 0.7510 0.4195
O 0.1027 0.1636 0.9466
O 0.1027 0.3364 0.4466
O 0.1265 0.1512 0.6579
O 0.1265 0.3488 0.1579
O 0.1828 0.7416 0.8637
O 0.1828 0.7584 0.3637
O 0.3274 0.2377 0.1341
O 0.3274 0.2623 0.6341
O 0.3470 0.7431 0.2722
O 0.3470 0.7569 0.7722
O 0.3476 0.0368 0.4111
O 0.3476 0.4632 0.9111
O 0.4737 0.6222 0.5961
O 0.4737 0.8778 0.0961
O 0.5263 0.1222 0.9039
O 0.5263 0.3778 0.4039
O 0.6524 0.5368 0.0889
O 0.6524 0.9632 0.5889
O 0.6530 0.2431 0.2278
O 0.6530 0.2569 0.7278
O 0.6726 0.7377 0.3659
O 0.6726 0.7623 0.8659
O 0.8172 0.2416 0.6363
O 0.8172 0.2584 0.1363
O 0.8735 0.6512 0.8421
O 0.8735 0.8488 0.3421
O 0.8973 0.6636 0.5534
O 0.8973 0.8364 0.0534